DFT (PBE+U) results for a geometry-optimized La4MgGa2Fe2O12 structure.

POSCAR file:
```
La4MgGa2Fe2O12
1.0
-5.9451 0.0795 0.2539
0.2460 -0.2844 -5.6543
0.1212 -8.5563 -0.4335
O Fe Ga Mg La
12 2 2 1 4
Cartesian
-0.8698 -5.1295 -1.0950
-4.5876 -3.7499 -4.6419
-2.6661 -2.3758 -0.6527
-0.9188 -8.3194 -1.7575
-1.4969 -3.9843 -3.8041
-3.8575 -8.0355 -2.0254
-5.4924 -1.8966 -2.1199
-1.5339 -0.8070 -4.1099
-4.0301 -4.6363 -1.8113
-4.5529 -0.5537 -4.3989
-2.9377 -6.1382 -5.1024
-0.0097 -6.8426 -3.9782
-2.8899 -0.1871 -0.0748
0.0339 -3.9525 -2.3997
0.1513 -8.7078 -3.4777
-3.3688 -4.0751 -0.0851
-0.2537 -5.1051 -4.8198
-0.1142 -2.1212 -5.7185
-3.1760 -2.2484 -3.0159
-2.3783 -6.3475 -2.8559
-5.1911 -6.8056 -0.5162
```

## Properties
Energy above the most stable polymorph in this dataset = 51 meV/atom
Space-group type = P1, No. 1
Corrected total energy (MP2020 scheme) = -163.1 eV/cell
Formation enthalpy at 0 K = -2828 meV per atom

---

DFT (PBE+U) results for a geometry-optimized La4MgGa2Fe2O12 structure.

POSCAR file:
```
La4MgGa2Fe2O12
1.0
-6.2444 0.1887 0.0307
0.0715 0.1666 -5.6556
0.2548 -8.4425 0.2541
O Ga La Fe Mg
12 2 4 2 1
Cartesian
-0.7162 -5.0501 -0.9008
-5.9777 -2.0006 -2.0556
-0.1695 -5.8311 -3.5879
-4.9879 -3.1322 -4.4726
-1.7600 -0.3687 -3.8094
-5.2199 -0.1642 -4.2383
-2.1550 -3.3254 -4.3079
-3.9561 -4.6933 -1.3318
-0.6596 -8.0770 -0.9381
-3.8983 -7.9058 -1.3914
-2.8822 -6.3442 -4.6022
-2.9433 -1.8629 -0.6852
-3.6131 -3.4753 0.0231
-0.1103 -0.3617 -2.7398
-5.1990 -6.4782 0.1680
-2.2304 -6.4017 -2.2136
-0.4418 -1.9051 -5.4805
-3.5832 -1.6451 -2.9513
-2.8506 0.2356 -5.6116
-5.8149 -4.0603 -2.4775
-1.4508 -5.0314 -4.8280
```

## Properties
Energy above the most stable polymorph in this dataset = 18 meV/atom
Space-group type = P1, No. 1
Corrected total energy (MP2020 scheme) = -163.8 eV/cell
Formation enthalpy at 0 K = -2861 meV per atom